1.
ZrCdC8O16 | GGA-PBE | optimized geometry

Cell lengths 9.156, 9.156, 24.012 Å; angles 90.00, 90.00, 120.00 degrees
Sites, in units of the cell vectors:
1 Zr 0.000 0.500 0.333
2 Zr 0.500 0.000 0.000
3 Zr 0.500 0.500 0.667
4 Cd 0.000 0.500 0.833
5 Cd 0.500 0.000 0.500
6 Cd 0.500 0.500 0.167
7 C 0.208 0.415 0.252
8 C 0.208 0.415 0.748
9 C 0.208 0.792 0.414
10 C 0.208 0.792 0.919
11 C 0.300 0.622 0.251
12 C 0.300 0.678 0.416
13 C 0.322 0.622 0.749
14 C 0.322 0.700 0.918
15 C 0.378 0.678 0.584
16 C 0.378 0.700 0.082
17 C 0.415 0.208 0.081
18 C 0.415 0.208 0.586
19 C 0.585 0.792 0.081
20 C 0.585 0.792 0.586
21 C 0.622 0.300 0.082
22 C 0.622 0.322 0.584
23 C 0.678 0.300 0.918
24 C 0.678 0.378 0.749
25 C 0.700 0.322 0.416
26 C 0.700 0.378 0.251
27 C 0.792 0.208 0.414
28 C 0.792 0.208 0.919
29 C 0.792 0.585 0.252
30 C 0.792 0.585 0.748
31 O 0.081 0.345 0.777
32 O 0.081 0.736 0.889
33 O 0.084 0.351 0.286
34 O 0.084 0.733 0.381
35 O 0.222 0.547 0.386
36 O 0.222 0.675 0.281
37 O 0.264 0.345 0.223
38 O 0.264 0.919 0.444
39 O 0.267 0.351 0.714
40 O 0.267 0.916 0.952
41 O 0.268 0.571 0.889
42 O 0.268 0.697 0.777
43 O 0.303 0.571 0.111
44 O 0.303 0.732 0.556
45 O 0.325 0.547 0.614
46 O 0.325 0.778 0.052
47 O 0.345 0.081 0.556
48 O 0.345 0.264 0.111
49 O 0.351 0.084 0.048
50 O 0.351 0.267 0.619
51 O 0.429 0.697 0.223
52 O 0.429 0.732 0.444
53 O 0.453 0.675 0.719
54 O 0.453 0.778 0.948
55 O 0.547 0.222 0.948
56 O 0.547 0.325 0.719
57 O 0.571 0.268 0.444
58 O 0.571 0.303 0.223
59 O 0.649 0.733 0.619
60 O 0.649 0.916 0.048
61 O 0.655 0.736 0.111
62 O 0.655 0.919 0.556
63 O 0.675 0.222 0.052
64 O 0.675 0.453 0.614
65 O 0.697 0.268 0.556
66 O 0.697 0.429 0.111
67 O 0.732 0.303 0.777
68 O 0.732 0.429 0.889
69 O 0.733 0.084 0.952
70 O 0.733 0.649 0.714
71 O 0.736 0.081 0.444
72 O 0.736 0.655 0.223
73 O 0.778 0.325 0.281
74 O 0.778 0.453 0.386
75 O 0.916 0.267 0.381
76 O 0.916 0.649 0.286
77 O 0.919 0.264 0.889
78 O 0.919 0.655 0.777

Calculated formation energy (eV per atom): -1.67

=====

2.
Ce2C3 | GGA-PBE | optimized geometry

Cell lengths 7.279, 7.279, 7.279 Å; angles 109.47, 109.47, 109.47 degrees
Sites, in units of the cell vectors:
1 Ce 0.000 0.099 0.500
2 Ce 0.000 0.599 0.500
3 Ce 0.099 0.500 0.000
4 Ce 0.401 0.401 0.401
5 Ce 0.500 0.000 0.099
6 Ce 0.500 0.000 0.599
7 Ce 0.599 0.500 0.000
8 Ce 0.901 0.901 0.901
9 C 0.043 0.793 0.250
10 C 0.207 0.957 0.250
11 C 0.250 0.043 0.793
12 C 0.250 0.207 0.957
13 C 0.293 0.543 0.750
14 C 0.457 0.707 0.750
15 C 0.543 0.750 0.293
16 C 0.707 0.750 0.457
17 C 0.750 0.293 0.543
18 C 0.750 0.457 0.707
19 C 0.793 0.250 0.043
20 C 0.957 0.250 0.207

Calculated formation energy (eV per atom): -0.26

=====

3.
Ce3CCl5 | GGA-PBE | optimized geometry

Cell lengths 8.266, 8.266, 15.872 Å; angles 96.45, 96.45, 63.78 degrees
Sites, in units of the cell vectors:
1 Ce 0.042 0.214 0.439
2 Ce 0.155 0.410 0.798
3 Ce 0.209 0.503 0.045
4 Ce 0.214 0.042 0.939
5 Ce 0.410 0.155 0.298
6 Ce 0.497 0.791 0.455
7 Ce 0.503 0.209 0.545
8 Ce 0.590 0.845 0.702
9 Ce 0.786 0.958 0.061
10 Ce 0.791 0.497 0.955
11 Ce 0.845 0.590 0.202
12 Ce 0.958 0.786 0.561
13 C 0.108 0.351 0.931
14 C 0.351 0.108 0.431
15 C 0.649 0.892 0.569
16 C 0.892 0.649 0.069
17 Cl 0.037 0.218 0.259
18 Cl 0.122 0.845 0.419
19 Cl 0.124 0.401 0.594
20 Cl 0.155 0.878 0.081
21 Cl 0.218 0.037 0.759
22 Cl 0.220 0.513 0.233
23 Cl 0.348 0.596 0.902
24 Cl 0.401 0.124 0.094
25 Cl 0.404 0.652 0.598
26 Cl 0.487 0.780 0.267
27 Cl 0.513 0.220 0.733
28 Cl 0.596 0.348 0.402
29 Cl 0.599 0.876 0.906
30 Cl 0.652 0.404 0.098
31 Cl 0.780 0.487 0.767
32 Cl 0.782 0.963 0.241
33 Cl 0.845 0.122 0.919
34 Cl 0.876 0.599 0.406
35 Cl 0.878 0.155 0.581
36 Cl 0.963 0.782 0.741

Calculated formation energy (eV per atom): -2.10

=====

4.
Ce5C2Cl9 | GGA-PBE | optimized geometry

Cell lengths 8.661, 8.945, 11.777 Å; angles 94.43, 94.38, 114.69 degrees
Sites, in units of the cell vectors:
1 Ce 0.131 0.327 0.018
2 Ce 0.158 0.752 0.276
3 Ce 0.167 0.350 0.492
4 Ce 0.241 0.139 0.734
5 Ce 0.350 0.622 0.806
6 Ce 0.650 0.378 0.194
7 Ce 0.759 0.861 0.266
8 Ce 0.833 0.650 0.508
9 Ce 0.842 0.248 0.724
10 Ce 0.869 0.673 0.982
11 C 0.136 0.342 0.816
12 C 0.149 0.355 0.692
13 C 0.851 0.645 0.308
14 C 0.864 0.658 0.184
15 Cl 0.000 0.000 0.500
16 Cl 0.027 0.654 0.761
17 Cl 0.118 0.057 0.245
18 Cl 0.186 0.687 0.517
19 Cl 0.213 0.687 0.034
20 Cl 0.246 0.084 0.974
21 Cl 0.391 0.516 0.253
22 Cl 0.408 0.208 0.526
23 Cl 0.484 0.976 0.769
24 Cl 0.500 0.500 0.000
25 Cl 0.516 0.024 0.231
26 Cl 0.592 0.792 0.474
27 Cl 0.609 0.484 0.747
28 Cl 0.754 0.916 0.026
29 Cl 0.787 0.313 0.966
30 Cl 0.814 0.313 0.483
31 Cl 0.882 0.943 0.755
32 Cl 0.973 0.346 0.239

Calculated formation energy (eV per atom): -2.07
Distance to the lowest polymorph of the same formula (kJ/mol of atoms): 3.55

=====

Q: Which of these has the lowest calculated formation energy?
A: Ce3CCl5

=====

Q: Number 3 is which compound?
A: Ce3CCl5